Crystalline LaHfMg6O8 at its relaxed geometry. Source: Materials Project, functional PBE-GGA.

Structure (POSCAR):
```
LaHfMg6O8
1.0
4.5915 0.0000 0.0000
0.0000 4.5915 0.0000
0.0000 0.0000 9.1660
La Hf Mg O
1 1 6 8
direct
0.0000 0.0000 0.0000
0.0000 0.0000 0.5000
0.0000 0.5000 0.2608
0.0000 0.5000 0.7392
0.5000 0.0000 0.2608
0.5000 0.0000 0.7392
0.5000 0.5000 0.0000
0.5000 0.5000 0.5000
0.0000 0.0000 0.2670
0.0000 0.0000 0.7330
0.0000 0.5000 0.0000
0.0000 0.5000 0.5000
0.5000 0.0000 0.0000
0.5000 0.0000 0.5000
0.5000 0.5000 0.2475
0.5000 0.5000 0.7525
```

Summary:
V = 12.1 A^3/atom
Formation enthalpy at 0 K = -2.624 eV per atom
Size of the total moment = 0.12 Bohr magnetons per cell
ΔE to the lowest computed polymorph = 93 meV per atom

---

Crystalline La8Hf4MgO20 at its relaxed geometry. Source: Materials Project, functional PBE-GGA.

Structure (POSCAR):
```
La8Hf4MgO20
1.0
11.3068 0.0000 0.0000
0.0000 3.9400 0.0000
-0.2047 0.0000 12.0605
La Hf Mg O
8 4 1 20
direct
0.0000 0.0000 0.0000
0.0132 0.0000 0.6701
0.2622 0.5000 0.1827
0.2820 0.5000 0.5219
0.5010 0.0000 0.9614
0.5217 0.0000 0.3104
0.7543 0.5000 0.8072
0.7852 0.5000 0.4682
0.0546 0.0000 0.3761
0.2102 0.5000 0.8571
0.5719 0.0000 0.6235
0.7081 0.5000 0.1319
0.9660 0.5000 0.2162
0.0661 0.0000 0.1992
0.1260 0.5000 0.3519
0.1277 0.5000 0.0090
0.1521 0.0000 0.8553
0.1614 0.5000 0.6946
0.1621 0.0000 0.5097
0.3710 0.0000 0.1430
0.3771 0.5000 0.8996
0.3882 0.5000 0.3425
0.4073 0.0000 0.5762
0.6139 0.0000 0.7906
0.6238 0.5000 0.9807
0.6268 0.5000 0.6308
0.6443 0.5000 0.2887
0.6477 0.0000 0.1315
0.6551 0.0000 0.4756
0.8754 0.5000 0.0706
0.8810 0.0000 0.8418
0.8872 0.5000 0.6544
0.9196 0.0000 0.4787
```

Summary:
V = 16.3 A^3/atom
Formation enthalpy at 0 K = -3.802 eV per atom
Size of the total moment = 0.00 Bohr magnetons per cell
ΔE to the lowest computed polymorph = 0 meV per atom

---

Crystalline LaHfMg14O16 at its relaxed geometry. Source: Materials Project, functional PBE-GGA.

Structure (POSCAR):
```
LaHfMg14O16
1.0
4.4508 0.0000 0.0000
0.0000 8.8605 0.0000
0.0000 0.0000 8.9079
La Hf Mg O
1 1 14 16
direct
0.0000 0.0000 0.0000
0.0000 0.0000 0.5000
0.0000 0.2644 0.2542
0.0000 0.2644 0.7458
0.0000 0.5000 0.0000
0.0000 0.5000 0.5000
0.0000 0.7356 0.2542
0.0000 0.7356 0.7458
0.5000 0.0000 0.2590
0.5000 0.0000 0.7410
0.5000 0.2597 0.5000
0.5000 0.2692 0.0000
0.5000 0.5000 0.2525
0.5000 0.5000 0.7475
0.5000 0.7308 0.0000
0.5000 0.7403 0.5000
0.0000 0.0000 0.2644
0.0000 0.0000 0.7356
0.0000 0.2576 0.5000
0.0000 0.2728 0.0000
0.0000 0.5000 0.2547
0.0000 0.5000 0.7453
0.0000 0.7272 0.0000
0.0000 0.7424 0.5000
0.5000 0.0000 0.0000
0.5000 0.0000 0.5000
0.5000 0.2513 0.2495
0.5000 0.2513 0.7505
0.5000 0.5000 0.0000
0.5000 0.5000 0.5000
0.5000 0.7487 0.2495
0.5000 0.7487 0.7505
```

Summary:
V = 11.0 A^3/atom
Formation enthalpy at 0 K = -2.816 eV per atom
Size of the total moment = 1.40 Bohr magnetons per cell

---

Crystalline LaHfMg6O8 at its relaxed geometry. Source: Materials Project, functional PBE-GGA.

Structure (POSCAR):
```
LaHfMg6O8
1.0
4.5527 0.0000 0.0000
0.0000 4.5527 0.0000
0.0000 0.0000 9.0778
La Hf Mg O
1 1 6 8
direct
0.0000 0.0000 0.0000
0.5000 0.5000 0.0000
0.0000 0.0000 0.5000
0.0000 0.5000 0.2725
0.0000 0.5000 0.7275
0.5000 0.0000 0.2725
0.5000 0.0000 0.7275
0.5000 0.5000 0.5000
0.0000 0.0000 0.2772
0.0000 0.0000 0.7228
0.0000 0.5000 0.0000
0.0000 0.5000 0.5000
0.5000 0.0000 0.0000
0.5000 0.0000 0.5000
0.5000 0.5000 0.2610
0.5000 0.5000 0.7390
```

Summary:
V = 11.8 A^3/atom
Formation enthalpy at 0 K = -2.717 eV per atom
Size of the total moment = 0.59 Bohr magnetons per cell
ΔE to the lowest computed polymorph = 0 meV per atom

---

Crystalline NaLaHfNbO6 at its relaxed geometry. Source: Materials Project, functional PBE-GGA.

Structure (POSCAR):
```
NaLaHfNbO6
1.0
0.0000 4.0827 4.0827
4.0827 0.0000 4.0827
4.0827 4.0827 0.0000
Na La Hf Nb O
1 1 1 1 6
direct
0.0000 0.0000 0.0000
0.5000 0.5000 0.5000
0.7500 0.7500 0.7500
0.2500 0.2500 0.2500
0.0020 0.0020 0.4980
0.0020 0.4980 0.0020
0.0020 0.4980 0.4980
0.4980 0.0020 0.0020
0.4980 0.0020 0.4980
0.4980 0.4980 0.0020
```

Summary:
V = 13.6 A^3/atom
Formation enthalpy at 0 K = -3.289 eV per atom
Size of the total moment = 0.00 Bohr magnetons per cell

---

Crystalline NaLaHf2O6 at its relaxed geometry. Source: Materials Project, functional PBE-GGA.

Structure (POSCAR):
```
NaLaHf2O6
1.0
0.0000 4.1069 4.1069
4.1069 0.0000 4.1069
4.1069 4.1069 0.0000
Na La Hf O
1 1 2 6
direct
0.0000 0.0000 0.0000
0.5000 0.5000 0.5000
0.2500 0.2500 0.2500
0.7500 0.7500 0.7500
0.0000 0.0000 0.5000
0.0000 0.5000 0.0000
0.0000 0.5000 0.5000
0.5000 0.0000 0.0000
0.5000 0.0000 0.5000
0.5000 0.5000 0.0000
```

Summary:
V = 13.9 A^3/atom
Formation enthalpy at 0 K = -3.595 eV per atom
Size of the total moment = 0.00 Bohr magnetons per cell

---

Crystalline Na5La3HfP6O24 at its relaxed geometry. Source: Materials Project, functional PBE-GGA.

Structure (POSCAR):
```
Na5La3HfP6O24
1.0
9.4441 0.0000 0.0000
4.7167 8.1858 0.0000
0.0033 0.1425 23.3875
Na La Hf P O
15 9 3 18 72
direct
0.0000 0.0000 0.0000
0.0003 0.3026 0.4936
0.0007 0.6586 0.2371
0.0218 0.6432 0.7367
0.3275 0.9583 0.5789
0.3325 0.9712 0.0873
0.3326 0.3416 0.3126
0.3570 0.2726 0.0011
0.6395 0.6430 0.0017
0.6402 0.9894 0.4935
0.6489 0.3257 0.9127
0.6600 0.3127 0.4096
0.6957 0.6082 0.3123
0.7017 0.9759 0.8107
0.9645 0.3349 0.8111
0.0006 0.6386 0.5936
0.0060 0.6481 0.3933
0.0082 0.6407 0.8852
0.3202 0.9635 0.4239
0.3313 0.9634 0.9167
0.6517 0.3183 0.7484
0.6695 0.3016 0.0725
0.6815 0.2881 0.2546
0.9952 0.6355 0.0948
0.3253 0.9729 0.2259
0.3308 0.9697 0.7189
0.6551 0.3146 0.5650
0.0330 0.9694 0.8168
0.0379 0.2791 0.3252
0.3133 0.6285 0.9917
0.3175 0.3329 0.4882
0.3229 0.2669 0.8185
0.3274 0.6709 0.3194
0.3502 0.2931 0.1616
0.3682 0.6256 0.6585
0.6241 0.9631 0.3266
0.6365 0.6797 0.8178
0.6425 0.0148 0.6599
0.6500 0.6352 0.1617
0.6949 0.9524 0.9842
0.6980 0.6230 0.4890
0.9706 0.9714 0.4955
0.9770 0.2831 0.6589
0.9889 0.3361 0.9834
0.9970 0.9873 0.1527
0.0069 0.4263 0.6483
0.0070 0.8211 0.8088
0.0117 0.4341 0.0317
0.0246 0.8138 0.1594
0.0420 0.4412 0.3185
0.1041 0.2040 0.3849
0.1082 0.0161 0.4927
0.1075 0.9617 0.8767
0.1375 0.1582 0.9861
0.1436 0.1193 0.6593
0.1489 0.1568 0.2779
0.1507 0.9689 0.7697
0.1584 0.9873 0.1653
0.1627 0.4332 0.8100
0.1755 0.4405 0.1620
0.1762 0.6478 0.3150
0.1784 0.4277 0.5312
0.1956 0.6549 0.6489
0.2037 0.6437 0.0424
0.2322 0.6178 0.9353
0.2628 0.4166 0.4285
0.3194 0.1964 0.8783
0.3245 0.1478 0.7716
0.3251 0.7836 0.2703
0.3281 0.7485 0.3771
0.3392 0.7797 0.9918
0.3422 0.1332 0.1693
0.3534 0.1524 0.4880
0.3686 0.7902 0.6577
0.4272 0.5450 0.7171
0.4388 0.2794 0.1035
0.4482 0.3074 0.2121
0.4787 0.0113 0.6609
0.4809 0.2776 0.8160
0.4805 0.3274 0.5058
0.4836 0.4700 0.9961
0.4858 0.5004 0.3176
0.4897 0.5107 0.6111
0.4898 0.8029 0.1679
0.5068 0.9612 0.2794
0.5138 0.7931 0.7706
0.5188 0.9758 0.9865
0.5237 0.7733 0.4882
0.5516 0.9650 0.3861
0.5631 0.7471 0.8776
0.6297 0.1419 0.6127
0.6343 0.1213 0.3212
0.6424 0.5582 0.1032
0.6632 0.5221 0.2119
0.6672 0.0738 0.7184
0.6739 0.5005 0.8151
0.6818 0.1223 0.9925
0.6949 0.4626 0.5050
0.7810 0.8811 0.9261
0.7855 0.8436 0.6479
0.7908 0.5889 0.4307
0.7918 0.8037 0.3202
0.7956 0.8325 0.0326
0.7973 0.6636 0.1634
0.7975 0.6556 0.5337
0.7984 0.6842 0.8105
0.8040 0.1358 0.5037
0.8278 0.3310 0.9922
0.8583 0.3171 0.3207
0.8613 0.2777 0.6109
0.8641 0.1036 0.1948
0.8644 0.1296 0.8150
0.8937 0.3049 0.7172
0.9359 0.0606 0.0920
0.9494 0.8964 0.4391
0.9772 0.4215 0.9251
0.9987 0.8561 0.5451
```

Summary:
V = 15.5 A^3/atom
Formation enthalpy at 0 K = -3.097 eV per atom
Size of the total moment = 0.00 Bohr magnetons per cell

---

Crystalline Na2LaHfP3O12 at its relaxed geometry. Source: Materials Project, functional PBE-GGA.

Structure (POSCAR):
```
Na2LaHfP3O12
1.0
9.3442 -0.0291 -0.0026
-4.6973 8.0778 0.0026
-0.0067 0.0039 23.4633
Na La Hf P O
12 6 6 18 72
direct
0.3590 0.3477 0.2482
0.6523 0.6410 0.7482
0.0257 0.6810 0.5815
0.3190 0.9743 0.0815
0.6923 0.0143 0.9148
0.9857 0.3077 0.4148
0.0001 0.9988 0.5032
0.0012 0.9999 0.0032
0.6667 0.3321 0.8365
0.6679 0.3333 0.3365
0.3334 0.6655 0.1699
0.3345 0.6666 0.6699
0.9935 0.9814 0.3520
0.0186 0.0065 0.8520
0.6601 0.3147 0.6853
0.6853 0.3399 0.1853
0.3268 0.6480 0.0186
0.3520 0.6732 0.5186
0.0044 0.0115 0.6487
0.9885 0.9956 0.1487
0.6711 0.3448 0.9820
0.6552 0.3289 0.4820
0.3377 0.6782 0.3154
0.3218 0.6623 0.8154
0.2861 0.9842 0.2468
0.6860 0.7083 0.2484
0.0215 0.3043 0.2534
0.2917 0.3140 0.7484
0.0158 0.7139 0.7468
0.6957 0.9785 0.7534
0.9527 0.3175 0.5801
0.3526 0.0416 0.5817
0.6882 0.6376 0.5867
0.9584 0.6474 0.0817
0.6825 0.0473 0.0801
0.3624 0.3118 0.0867
0.6194 0.6509 0.9134
0.0193 0.3750 0.9151
0.3549 0.9710 0.9200
0.6250 0.9807 0.4151
0.3491 0.3806 0.4134
0.0290 0.6451 0.4200
0.2113 0.0168 0.2993
0.7828 0.7753 0.3029
0.0047 0.2153 0.3095
0.2247 0.2172 0.8029
0.9832 0.7887 0.7993
0.7847 0.9953 0.8095
0.8008 0.9667 0.7018
0.1782 0.2096 0.6967
0.0358 0.8256 0.6931
0.7904 0.8218 0.1967
0.0333 0.1992 0.2018
0.1744 0.9642 0.1931
0.8780 0.3501 0.6327
0.4494 0.1087 0.6363
0.6713 0.5486 0.6429
0.8913 0.5506 0.1363
0.6499 0.1220 0.1327
0.4514 0.3287 0.1429
0.4675 0.3000 0.0352
0.8449 0.5429 0.0300
0.7025 0.1589 0.0265
0.4571 0.1551 0.5300
0.7000 0.5325 0.5352
0.8411 0.2975 0.5265
0.5446 0.6835 0.9660
0.1161 0.4420 0.9696
0.3380 0.8820 0.9762
0.5580 0.8839 0.4696
0.3165 0.4554 0.4660
0.1180 0.6620 0.4762
0.1341 0.6333 0.3685
0.5116 0.8762 0.3634
0.3692 0.4922 0.3598
0.1238 0.4884 0.8634
0.3667 0.8659 0.8685
0.5078 0.6308 0.8598
0.9975 0.7897 0.4150
0.8076 0.0249 0.4091
0.1966 0.2052 0.4082
0.9751 0.1924 0.9091
0.2103 0.0025 0.9150
0.7948 0.8034 0.9082
0.9616 0.1553 0.5893
0.1832 0.0391 0.5863
0.8580 0.8088 0.5881
0.9609 0.8168 0.0863
0.8447 0.0384 0.0893
0.1912 0.1420 0.0881
0.6641 0.1230 0.7483
0.4742 0.3583 0.7424
0.8632 0.5385 0.7415
0.6417 0.5258 0.2424
0.8770 0.3359 0.2483
0.4615 0.1368 0.2415
0.6283 0.4886 0.9226
0.8499 0.3724 0.9197
0.5247 0.1422 0.9214
0.6276 0.1501 0.4197
0.5114 0.3717 0.4226
0.8578 0.4753 0.4214
0.3308 0.4564 0.0816
0.1409 0.6916 0.0758
0.5299 0.8719 0.0749
0.3084 0.8591 0.5758
0.5436 0.6692 0.5816
0.1281 0.4701 0.5749
0.2949 0.8220 0.2559
0.5166 0.7058 0.2530
0.1913 0.4755 0.2547
0.2942 0.4834 0.7530
0.1780 0.7051 0.7559
0.5245 0.8087 0.7547
```

Summary:
V = 15.5 A^3/atom
Formation enthalpy at 0 K = -3.103 eV per atom
Size of the total moment = 0.00 Bohr magnetons per cell